[1]
Entry from the Materials Project database: Er2Fe12P7 after structural relaxation (PBE-GGA).

abc: 8.948 8.948 3.633
angles: 90.00 90.00 120.00
Atoms (fractional coordinates):
Er: 0.000 0.000 0.000
Er: 0.333 0.667 0.500
Fe: 0.051 0.285 0.500
Fe: 0.094 0.705 0.000
Fe: 0.234 0.949 0.500
Fe: 0.295 0.389 0.000
Fe: 0.391 0.177 0.000
Fe: 0.547 0.429 0.500
Fe: 0.571 0.118 0.500
Fe: 0.611 0.906 0.000
Fe: 0.715 0.766 0.500
Fe: 0.786 0.609 0.000
Fe: 0.823 0.214 0.000
Fe: 0.882 0.453 0.500
P: 0.078 0.448 0.000
P: 0.264 0.221 0.500
P: 0.370 0.922 0.000
P: 0.552 0.630 0.000
P: 0.667 0.333 0.000
P: 0.779 0.044 0.500
P: 0.956 0.736 0.500

Summary:
Formation energy from the elements ... -714 meV/atom
Crystal system ... hexagonal
Space-group type ... P-6 (174)
Total energy ... -7.794 eV/atom

[2]
Entry from the Materials Project database: Te6Mo3WS2 after structural relaxation (PBE-GGA).

abc: 3.452 3.452 39.273
angles: 90.00 90.00 120.00
Atoms (fractional coordinates):
Te: 0.000 0.000 0.000
Te: 0.000 0.000 0.094
Te: 0.000 0.000 0.375
Te: 0.000 0.000 0.470
Te: 0.333 0.667 0.812
Te: 0.333 0.667 0.906
Mo: 0.000 0.000 0.235
Mo: 0.000 0.000 0.859
Mo: 0.333 0.667 0.047
W: 0.333 0.667 0.423
S: 0.333 0.667 0.197
S: 0.333 0.667 0.273

Summary:
Formation energy from the elements ... -400 meV/atom
Crystal system ... trigonal
Space-group type ... P3m1 (156)
Total energy ... -6.369 eV/atom

[3]
Entry from the Materials Project database: La8Te3SeO8 after structural relaxation (PBE-GGA).

abc: 4.112 4.112 26.221
angles: 90.00 90.00 90.00
Atoms (fractional coordinates):
La: 0.000 0.000 0.078
La: 0.000 0.000 0.421
La: 0.000 0.000 0.579
La: 0.000 0.000 0.922
La: 0.500 0.500 0.171
La: 0.500 0.500 0.329
La: 0.500 0.500 0.671
La: 0.500 0.500 0.829
Te: 0.000 0.000 0.250
Te: 0.000 0.000 0.750
Te: 0.500 0.500 0.500
Se: 0.500 0.500 0.000
O: 0.000 0.500 0.124
O: 0.000 0.500 0.375
O: 0.000 0.500 0.625
O: 0.000 0.500 0.876
O: 0.500 0.000 0.124
O: 0.500 0.000 0.375
O: 0.500 0.000 0.625
O: 0.500 0.000 0.876

Summary:
Formation energy from the elements ... -3319 meV/atom
Crystal system ... tetragonal
Space-group type ... P4/mmm (123)
Total energy ... -7.644 eV/atom

[4]
Entry from the Materials Project database: Li4CuP6O18 after structural relaxation (PBE-GGA).

abc: 7.214 7.214 14.219
angles: 94.70 94.70 66.67
Atoms (fractional coordinates):
Li: 0.061 0.275 0.453
Li: 0.202 0.462 0.072
Li: 0.275 0.061 0.953
Li: 0.462 0.202 0.572
Li: 0.538 0.798 0.428
Li: 0.725 0.939 0.047
Li: 0.798 0.538 0.928
Li: 0.939 0.725 0.547
Cu: 0.136 0.864 0.250
Cu: 0.864 0.136 0.750
P: 0.103 0.729 0.890
P: 0.128 0.403 0.746
P: 0.271 0.897 0.610
P: 0.356 0.461 0.387
P: 0.403 0.128 0.246
P: 0.461 0.356 0.887
P: 0.539 0.644 0.113
P: 0.597 0.872 0.754
P: 0.644 0.539 0.613
P: 0.729 0.103 0.390
P: 0.872 0.597 0.254
P: 0.897 0.271 0.110
O: 0.003 0.317 0.033
O: 0.016 0.299 0.793
O: 0.051 0.634 0.789
O: 0.058 0.924 0.624
O: 0.076 0.942 0.876
O: 0.128 0.399 0.641
O: 0.258 0.406 0.463
O: 0.299 0.016 0.293
O: 0.315 0.361 0.286
O: 0.317 0.003 0.533
O: 0.317 0.677 0.371
O: 0.323 0.683 0.129
O: 0.345 0.599 0.903
O: 0.361 0.315 0.786
O: 0.366 0.949 0.711
O: 0.399 0.128 0.141
O: 0.401 0.655 0.597
O: 0.406 0.258 0.963
O: 0.594 0.742 0.037
O: 0.599 0.345 0.403
O: 0.601 0.872 0.859
O: 0.634 0.051 0.289
O: 0.639 0.685 0.214
O: 0.655 0.401 0.097
O: 0.677 0.317 0.871
O: 0.683 0.323 0.629
O: 0.683 0.997 0.467
O: 0.685 0.639 0.714
O: 0.701 0.984 0.707
O: 0.742 0.594 0.537
O: 0.872 0.601 0.359
O: 0.924 0.058 0.124
O: 0.942 0.076 0.376
O: 0.949 0.366 0.211
O: 0.984 0.701 0.207
O: 0.997 0.683 0.967

Summary:
Formation energy from the elements ... -2487 meV/atom
Crystal system ... monoclinic
Space-group type ... C2/c (15)
Total energy ... -6.657 eV/atom

[5]
Entry from the Materials Project database: Na2B29 after structural relaxation (PBE-GGA).

abc: 7.250 7.250 7.250
angles: 132.73 88.91 109.90
Atoms (fractional coordinates):
Na: 0.000 0.000 0.000
Na: 0.804 0.304 0.500
B: 0.020 0.664 0.036
B: 0.020 0.984 0.357
B: 0.030 0.452 0.081
B: 0.030 0.948 0.577
B: 0.039 0.623 0.416
B: 0.171 0.824 0.347
B: 0.174 0.274 0.900
B: 0.192 0.334 0.535
B: 0.192 0.657 0.858
B: 0.207 0.623 0.584
B: 0.347 0.501 0.846
B: 0.371 0.452 0.423
B: 0.371 0.948 0.919
B: 0.374 0.274 0.100
B: 0.397 0.026 0.372
B: 0.419 0.419 0.000
B: 0.450 0.373 0.584
B: 0.450 0.867 0.077
B: 0.478 0.824 0.653
B: 0.615 0.699 0.916
B: 0.627 0.664 0.643
B: 0.627 0.984 0.964
B: 0.654 0.026 0.628
B: 0.655 0.501 0.154
B: 0.783 0.699 0.084
B: 0.790 0.373 0.923
B: 0.790 0.867 0.416
B: 0.799 0.334 0.142
B: 0.799 0.657 0.465

Summary:
Formation energy from the elements ... 5 meV/atom
Crystal system ... orthorhombic
Space-group type ... Imm2 (44)
Total energy ... -6.329 eV/atom

[6]
Entry from the Materials Project database: Tl4Sn after structural relaxation (PBE-GGA).

abc: 3.432 3.432 45.123
angles: 90.00 90.00 120.00
Atoms (fractional coordinates):
Tl: 0.000 0.000 0.103
Tl: 0.000 0.000 0.299
Tl: 0.000 0.000 0.701
Tl: 0.000 0.000 0.897
Tl: 0.333 0.667 0.367
Tl: 0.333 0.667 0.564
Tl: 0.333 0.667 0.770
Tl: 0.333 0.667 0.966
Tl: 0.667 0.333 0.034
Tl: 0.667 0.333 0.230
Tl: 0.667 0.333 0.436
Tl: 0.667 0.333 0.633
Sn: 0.000 0.000 0.500
Sn: 0.333 0.667 0.167
Sn: 0.667 0.333 0.833

Summary:
Formation energy from the elements ... 22 meV/atom
Crystal system ... trigonal
Space-group type ... R-3m (166)
Total energy ... -2.670 eV/atom